(1)
This record from the Materials Project database describes ErB4Ru after structural relaxation. The functional is PBE.

Unit cell a=5.942 b=11.483 c=3.543 alpha=90.00 beta=90.00 gamma=90.00
Fractional coordinates of all 24 atoms:
1 Er 0.131 0.150 0.000
2 Er 0.369 0.650 0.000
3 Er 0.631 0.350 0.000
4 Er 0.869 0.850 0.000
5 B 0.022 0.692 0.500
6 B 0.112 0.547 0.500
7 B 0.135 0.970 0.500
8 B 0.208 0.814 0.500
9 B 0.292 0.314 0.500
10 B 0.365 0.470 0.500
11 B 0.388 0.047 0.500
12 B 0.478 0.192 0.500
13 B 0.522 0.808 0.500
14 B 0.612 0.953 0.500
15 B 0.635 0.530 0.500
16 B 0.708 0.686 0.500
17 B 0.792 0.186 0.500
18 B 0.865 0.030 0.500
19 B 0.888 0.453 0.500
20 B 0.978 0.308 0.500
21 Ru 0.141 0.407 0.000
22 Ru 0.359 0.907 0.000
23 Ru 0.641 0.093 0.000
24 Ru 0.859 0.593 0.000

Values from the calculation:
The value obtained for the energy of formation is -0.649 eV/atom. For the size of the total moment, the calculation gives 0.0 Bohr magnetons per cell. As for the energy: -7.409 eV per atom.



(2)
This record from the Materials Project database describes ErB2Ru3 after structural relaxation. The functional is PBE.

Unit cell a=5.493 b=5.493 c=3.035 alpha=90.00 beta=90.00 gamma=120.00
Fractional coordinates of all 6 atoms:
1 Er 0.000 0.000 0.000
2 B 0.333 0.667 0.000
3 B 0.667 0.333 0.000
4 Ru 0.000 0.500 0.500
5 Ru 0.500 0.000 0.500
6 Ru 0.500 0.500 0.500

Values from the calculation:
The value obtained for the energy of formation is -0.482 eV/atom. As for the energy: -8.107 eV per atom.